# Na16W19O57

A geometry-optimized Na16W19O57 structure (PBE with a Hubbard U, Materials Project). Values from VASP.

```
&SYSTEM
  ibrav = 0, nat = 92, ntyp = 3
/
ATOMIC_SPECIES
Na 22.99 Na.upf
W 183.84 W.upf
O 16.00 O.upf
CELL_PARAMETERS angstrom
4.847 -2.813 0.000
4.847 2.813 0.000
-3.319 0.000 43.386
ATOMIC_POSITIONS crystal
Na 0.000 0.000 0.000
Na 0.052 0.052 0.158
Na 0.104 0.104 0.315
Na 0.156 0.156 0.473
Na 0.210 0.210 0.631
Na 0.263 0.263 0.789
Na 0.315 0.315 0.947
Na 0.367 0.367 0.105
Na 0.419 0.419 0.262
Na 0.472 0.472 0.420
Na 0.525 0.525 0.578
Na 0.578 0.578 0.736
Na 0.630 0.630 0.894
Na 0.841 0.841 0.525
Na 0.894 0.894 0.684
Na 0.946 0.946 0.842
W 0.025 0.025 0.078
W 0.077 0.077 0.235
W 0.130 0.130 0.393
W 0.182 0.182 0.552
W 0.236 0.236 0.710
W 0.289 0.289 0.868
W 0.343 0.343 0.027
W 0.395 0.395 0.184
W 0.447 0.447 0.342
W 0.499 0.499 0.499
W 0.552 0.552 0.657
W 0.603 0.603 0.815
W 0.657 0.657 0.974
W 0.709 0.709 0.131
W 0.761 0.761 0.289
W 0.814 0.814 0.446
W 0.868 0.868 0.604
W 0.920 0.920 0.763
W 0.973 0.973 0.921
O 0.006 0.501 0.000
O 0.019 0.527 0.578
O 0.025 0.025 0.578
O 0.051 0.549 0.156
O 0.074 0.074 0.737
O 0.078 0.576 0.736
O 0.105 0.611 0.314
O 0.126 0.126 0.895
O 0.131 0.624 0.894
O 0.153 0.652 0.472
O 0.187 0.187 0.051
O 0.190 0.679 0.052
O 0.203 0.710 0.631
O 0.228 0.733 0.209
O 0.232 0.232 0.211
O 0.266 0.767 0.789
O 0.283 0.793 0.367
O 0.285 0.285 0.368
O 0.321 0.812 0.947
O 0.345 0.845 0.526
O 0.346 0.346 0.525
O 0.369 0.864 0.105
O 0.396 0.896 0.684
O 0.397 0.397 0.683
O 0.425 0.921 0.264
O 0.438 0.949 0.841
O 0.446 0.446 0.842
O 0.463 0.977 0.420
O 0.494 0.494 0.000
O 0.501 0.006 0.000
O 0.527 0.019 0.578
O 0.549 0.051 0.156
O 0.552 0.552 0.156
O 0.576 0.078 0.736
O 0.607 0.607 0.314
O 0.611 0.105 0.314
O 0.624 0.131 0.894
O 0.652 0.153 0.472
O 0.652 0.652 0.473
O 0.679 0.190 0.052
O 0.704 0.704 0.631
O 0.710 0.203 0.631
O 0.733 0.228 0.209
O 0.767 0.266 0.789
O 0.767 0.767 0.788
O 0.793 0.283 0.367
O 0.812 0.321 0.947
O 0.819 0.819 0.947
O 0.845 0.345 0.526
O 0.864 0.369 0.105
O 0.867 0.867 0.106
O 0.896 0.396 0.684
O 0.921 0.425 0.264
O 0.925 0.925 0.263
O 0.949 0.438 0.841
O 0.977 0.463 0.420
O 0.978 0.978 0.420
```

Output
- offset from the most stable computed form (meV per atom) = 0
- DFT formation energy (eV/atom) = -2.170
- total DFT energy (no corrections) (eV/cell) = -625.51

***

# LiCoP4O12

A geometry-optimized LiCoP4O12 structure (PBE with a Hubbard U, Materials Project). Values from VASP.

```
&SYSTEM
  ibrav = 0, nat = 36, ntyp = 4
/
ATOMIC_SPECIES
Li 6.94 Li.upf
Co 58.93 Co.upf
P 30.97 P.upf
O 16.00 O.upf
CELL_PARAMETERS angstrom
8.503 -6.074 0.000
8.503 6.074 0.000
-0.909 0.000 5.080
ATOMIC_POSITIONS crystal
Li 0.079 0.079 0.082
Li 0.921 0.921 0.918
Co 0.000 0.500 0.500
Co 0.500 0.000 0.500
P 0.131 0.715 0.324
P 0.196 0.440 0.030
P 0.285 0.869 0.676
P 0.440 0.196 0.030
P 0.560 0.804 0.970
P 0.715 0.131 0.324
P 0.804 0.560 0.970
P 0.869 0.285 0.676
O 0.051 0.668 0.494
O 0.059 0.833 0.176
O 0.103 0.404 0.187
O 0.166 0.426 0.734
O 0.167 0.941 0.824
O 0.209 0.587 0.125
O 0.265 0.735 0.500
O 0.332 0.949 0.506
O 0.351 0.351 0.102
O 0.404 0.103 0.187
O 0.413 0.791 0.875
O 0.426 0.166 0.734
O 0.574 0.834 0.266
O 0.587 0.209 0.125
O 0.596 0.897 0.813
O 0.649 0.649 0.898
O 0.668 0.051 0.494
O 0.735 0.265 0.500
O 0.791 0.413 0.875
O 0.833 0.059 0.176
O 0.834 0.574 0.266
O 0.897 0.596 0.813
O 0.941 0.167 0.824
O 0.949 0.332 0.506
```

Output
- offset from the most stable computed form (meV per atom) = 40
- DFT formation energy (eV/atom) = -2.390
- total DFT energy (no corrections) (eV/cell) = -246.38

***

no.,density (g/cm3),size of the total moment (μB/f.u.)
1,6.70,16.01
2,2.42,0.00